# Ca3Co2Si3O12

An optimized crystal structure of Ca3Co2Si3O12 (PBE+U, Materials Project).

## Properties
E_form (eV/atom): -2.866
Total energy (eV/atom): -7.085
Mass density (g/cm³): 3.8
Magnetic moment (μB/atom): 0.400

Cell: 10.519 10.519 10.519 Å, 109.47 109.47 109.47°
Positions (direct):
Ca: 0.125 0.250 0.375
Ca: 0.125 0.375 0.750
Ca: 0.250 0.375 0.125
Ca: 0.250 0.875 0.625
Ca: 0.375 0.125 0.250
Ca: 0.375 0.750 0.125
Ca: 0.625 0.250 0.875
Ca: 0.625 0.875 0.750
Ca: 0.750 0.125 0.375
Ca: 0.750 0.625 0.875
Ca: 0.875 0.625 0.250
Ca: 0.875 0.750 0.625
Co: 0.000 0.000 0.000
Co: 0.000 0.000 0.500
Co: 0.000 0.500 0.000
Co: 0.000 0.500 0.500
Co: 0.500 0.000 0.000
Co: 0.500 0.000 0.500
Co: 0.500 0.500 0.000
Co: 0.500 0.500 0.500
Si: 0.125 0.750 0.875
Si: 0.125 0.875 0.250
Si: 0.250 0.125 0.875
Si: 0.250 0.625 0.375
Si: 0.375 0.250 0.625
Si: 0.375 0.625 0.750
Si: 0.625 0.375 0.250
Si: 0.625 0.750 0.375
Si: 0.750 0.375 0.625
Si: 0.750 0.875 0.125
Si: 0.875 0.125 0.750
Si: 0.875 0.250 0.125
O: 0.009 0.203 0.116
O: 0.009 0.306 0.893
O: 0.087 0.703 0.694
O: 0.087 0.884 0.393
O: 0.107 0.616 0.413
O: 0.107 0.991 0.694
O: 0.116 0.009 0.203
O: 0.116 0.607 0.913
O: 0.194 0.203 0.587
O: 0.194 0.491 0.607
O: 0.203 0.116 0.009
O: 0.203 0.587 0.194
O: 0.297 0.306 0.913
O: 0.297 0.491 0.384
O: 0.306 0.893 0.009
O: 0.306 0.913 0.297
O: 0.384 0.297 0.491
O: 0.384 0.587 0.893
O: 0.393 0.087 0.884
O: 0.393 0.806 0.509
O: 0.413 0.107 0.616
O: 0.413 0.806 0.797
O: 0.491 0.384 0.297
O: 0.491 0.607 0.194
O: 0.509 0.393 0.806
O: 0.509 0.616 0.703
O: 0.587 0.194 0.203
O: 0.587 0.893 0.384
O: 0.607 0.194 0.491
O: 0.607 0.913 0.116
O: 0.616 0.413 0.107
O: 0.616 0.703 0.509
O: 0.694 0.087 0.703
O: 0.694 0.107 0.991
O: 0.703 0.509 0.616
O: 0.703 0.694 0.087
O: 0.797 0.413 0.806
O: 0.797 0.884 0.991
O: 0.806 0.509 0.393
O: 0.806 0.797 0.413
O: 0.884 0.393 0.087
O: 0.884 0.991 0.797
O: 0.893 0.009 0.306
O: 0.893 0.384 0.587
O: 0.913 0.116 0.607
O: 0.913 0.297 0.306
O: 0.991 0.694 0.107
O: 0.991 0.797 0.884

=====

# Li3VSi6O15

An optimized crystal structure of Li3VSi6O15 (PBE+U, Materials Project).

## Properties
E_form (eV/atom): -3.028
Total energy (eV/atom): -7.411
Polymorph energy (0 for the lowest one) (meV/atom): 0
Mass density (g/cm³): 2.7
Magnetic moment (μB/atom): 0.080

Cell: 8.000 9.983 14.927 Å, 89.96 89.95 89.94°
Positions (direct):
Li: 0.000 0.000 0.000
Li: 0.000 0.359 0.500
Li: 0.232 0.431 0.853
Li: 0.237 0.927 0.354
Li: 0.251 0.429 0.339
Li: 0.254 0.932 0.840
Li: 0.497 0.499 0.696
Li: 0.499 0.859 0.194
Li: 0.746 0.930 0.840
Li: 0.747 0.428 0.339
Li: 0.761 0.431 0.853
Li: 0.761 0.927 0.354
V: 0.498 0.685 0.850
V: 0.499 0.672 0.350
V: 0.999 0.174 0.344
V: 0.999 0.185 0.843
Si: 0.185 0.638 0.699
Si: 0.187 0.720 0.199
Si: 0.190 0.635 0.497
Si: 0.190 0.725 0.997
Si: 0.308 0.222 0.698
Si: 0.309 0.137 0.198
Si: 0.312 0.142 0.995
Si: 0.312 0.218 0.495
Si: 0.498 0.957 0.697
Si: 0.499 0.401 0.197
Si: 0.499 0.954 0.496
Si: 0.500 0.406 0.997
Si: 0.687 0.142 0.995
Si: 0.687 0.217 0.495
Si: 0.688 0.222 0.698
Si: 0.689 0.136 0.198
Si: 0.809 0.635 0.496
Si: 0.809 0.725 0.997
Si: 0.810 0.639 0.699
Si: 0.811 0.720 0.199
Si: 0.998 0.903 0.697
Si: 0.999 0.456 0.197
Si: 0.999 0.460 0.998
Si: 0.999 0.899 0.498
O: 0.000 0.389 0.097
O: 0.000 0.996 0.413
O: 0.162 0.562 0.989
O: 0.162 0.797 0.490
O: 0.162 0.802 0.707
O: 0.164 0.556 0.207
O: 0.175 0.084 0.925
O: 0.175 0.276 0.425
O: 0.186 0.276 0.775
O: 0.187 0.083 0.275
O: 0.241 0.258 0.596
O: 0.242 0.102 0.096
O: 0.258 0.598 0.599
O: 0.258 0.760 0.098
O: 0.308 0.583 0.418
O: 0.310 0.779 0.919
O: 0.320 0.580 0.770
O: 0.322 0.777 0.269
O: 0.335 0.055 0.486
O: 0.335 0.305 0.985
O: 0.336 0.059 0.706
O: 0.336 0.299 0.207
O: 0.497 0.858 0.780
O: 0.498 0.294 0.706
O: 0.498 0.470 0.098
O: 0.498 0.849 0.416
O: 0.499 0.064 0.206
O: 0.499 0.500 0.280
O: 0.499 0.889 0.597
O: 0.500 0.076 0.981
O: 0.500 0.284 0.480
O: 0.502 0.510 0.916
O: 0.661 0.059 0.707
O: 0.661 0.299 0.206
O: 0.663 0.054 0.486
O: 0.664 0.305 0.987
O: 0.673 0.582 0.768
O: 0.676 0.777 0.269
O: 0.691 0.582 0.418
O: 0.691 0.777 0.918
O: 0.739 0.599 0.598
O: 0.740 0.762 0.098
O: 0.756 0.257 0.596
O: 0.757 0.101 0.096
O: 0.809 0.083 0.276
O: 0.809 0.275 0.775
O: 0.825 0.084 0.926
O: 0.825 0.275 0.426
O: 0.833 0.803 0.707
O: 0.835 0.557 0.206
O: 0.837 0.562 0.990
O: 0.837 0.797 0.489
O: 0.997 0.573 0.713
O: 0.998 0.354 0.279
O: 0.998 0.970 0.597
O: 0.999 0.005 0.779
O: 0.999 0.364 0.913
O: 0.999 0.562 0.490
O: 0.999 0.786 0.213
O: 0.999 0.797 0.990

=====

# Mn12O7F17

An optimized crystal structure of Mn12O7F17 (PBE+U, Materials Project).

## Properties
E_form (eV/atom): -2.561
Total energy (eV/atom): -6.574
Polymorph energy (0 for the lowest one) (meV/atom): 16
Mass density (g/cm³): 4.1
Magnetic moment (μB/atom): 1.472

Cell: 4.817 5.871 15.714 Å, 89.37 89.92 86.34°
Positions (direct):
Mn: 0.000 0.000 0.000
Mn: 0.001 0.307 0.832
Mn: 0.014 0.993 0.331
Mn: 0.020 0.986 0.671
Mn: 0.457 0.819 0.840
Mn: 0.463 0.832 0.502
Mn: 0.475 0.514 0.331
Mn: 0.487 0.513 0.664
Mn: 0.495 0.498 0.006
Mn: 0.529 0.847 0.178
Mn: 0.978 0.293 0.163
Mn: 0.995 0.299 0.497
O: 0.201 0.032 0.440
O: 0.209 0.029 0.778
O: 0.261 0.778 0.946
O: 0.276 0.783 0.609
O: 0.294 0.788 0.280
O: 0.784 0.253 0.057
O: 0.806 0.050 0.225
F: 0.224 0.287 0.268
F: 0.228 0.278 0.609
F: 0.237 0.271 0.944
F: 0.245 0.516 0.116
F: 0.248 0.022 0.103
F: 0.258 0.533 0.441
F: 0.258 0.536 0.775
F: 0.708 0.773 0.735
F: 0.714 0.778 0.399
F: 0.716 0.549 0.888
F: 0.723 0.549 0.550
F: 0.734 0.763 0.065
F: 0.735 0.546 0.229
F: 0.751 0.272 0.383
F: 0.760 0.048 0.895
F: 0.765 0.267 0.717
F: 0.772 0.037 0.566

=====

# Li2FeB2O6

An optimized crystal structure of Li2FeB2O6 (PBE+U, Materials Project).

## Properties
E_form (eV/atom): -2.314
Total energy (eV/atom): -6.765
Polymorph energy (0 for the lowest one) (meV/atom): 0
Mass density (g/cm³): 3.1
Magnetic moment (μB/atom): 0.000

Cell: 4.745 10.776 4.745 Å, 77.28 60.00 77.28°
Positions (direct):
B: 0.205 0.385 0.205
B: 0.705 0.885 0.705
B: 0.795 0.615 0.795
B: 0.295 0.115 0.295
O: 0.019 0.118 0.599
O: 0.519 0.618 0.099
O: 0.236 0.382 0.481
O: 0.481 0.382 0.901
O: 0.764 0.618 0.519
O: 0.264 0.118 0.019
O: 0.599 0.118 0.264
O: 0.401 0.882 0.736
O: 0.736 0.882 0.981
O: 0.099 0.618 0.764
O: 0.901 0.382 0.236
O: 0.981 0.882 0.401
Li: 0.096 0.711 0.096
Li: 0.904 0.289 0.904
Li: 0.596 0.211 0.596
Li: 0.404 0.789 0.404
Fe: 0.500 0.500 0.500
Fe: 0.000 0.000 0.000